## Na10Y4Zn4Si3S9O48 (GGA-PBE)

Data for an optimized crystal structure of Na10Y4Zn4Si3S9O48.

DFT total energy (Ha/atom): -0.2308
Energy of formation from the pure elements (eV per atom): -2.41
Space group: P1 (1)

POSCAR file:
```
Na10Y4Zn4Si3S9O48
1.0
18.469 0.031 0.008
-4.604 7.931 -0.008
0.010 -0.018 23.049
Na Y Zn Si S O
30 12 12 9 27 144
Direct
0.191 0.362 0.242 Na
0.691 0.367 0.242 Na
0.990 0.639 0.254 Na
0.491 0.632 0.263 Na
0.325 0.652 0.740 Na
0.822 0.647 0.740 Na
0.991 0.345 0.751 Na
0.192 0.013 0.738 Na
0.693 0.013 0.738 Na
0.522 0.700 0.569 Na
0.325 0.965 0.589 Na
0.825 0.961 0.588 Na
0.155 0.983 0.075 Na
0.655 0.982 0.075 Na
0.327 0.682 0.093 Na
0.826 0.683 0.093 Na
0.658 0.013 0.426 Na
0.357 0.678 0.406 Na
0.023 0.005 0.495 Na
0.515 0.018 0.493 Na
0.012 0.035 0.994 Na
0.512 0.035 0.994 Na
0.349 0.322 0.826 Na
0.834 0.314 0.829 Na
0.345 0.338 0.330 Na
0.841 0.348 0.327 Na
0.176 0.655 0.161 Na
0.676 0.655 0.163 Na
0.168 0.679 0.655 Na
0.668 0.664 0.656 Na
0.003 0.998 0.647 Y
0.503 0.008 0.650 Y
0.996 0.006 0.151 Y
0.496 0.006 0.150 Y
0.330 0.331 0.981 Y
0.830 0.332 0.981 Y
0.328 0.328 0.481 Y
0.832 0.337 0.484 Y
0.173 0.674 0.315 Y
0.670 0.671 0.319 Y
0.173 0.677 0.820 Y
0.667 0.669 0.818 Y
0.987 0.974 0.347 Zn
0.494 0.969 0.347 Zn
0.990 0.007 0.849 Zn
0.492 0.013 0.848 Zn
0.334 0.277 0.676 Zn
0.832 0.293 0.674 Zn
0.331 0.363 0.178 Zn
0.829 0.362 0.178 Zn
0.163 0.630 0.014 Zn
0.662 0.630 0.015 Zn
0.158 0.683 0.515 Zn
0.663 0.690 0.509 Zn
0.349 0.689 0.248 Si
0.850 0.692 0.247 Si
0.352 0.005 0.749 Si
0.852 0.006 0.748 Si
0.181 0.019 0.584 Si
0.681 0.020 0.582 Si
0.182 0.336 0.085 Si
0.681 0.336 0.085 Si
0.515 0.673 0.415 Si
0.148 0.005 0.251 S
0.651 0.005 0.250 S
0.997 0.298 0.255 S
0.498 0.296 0.255 S
0.148 0.294 0.755 S
0.652 0.296 0.755 S
0.998 0.701 0.755 S
0.498 0.703 0.753 S
0.484 0.342 0.584 S
0.985 0.344 0.586 S
0.331 0.629 0.587 S
0.829 0.628 0.588 S
0.486 0.630 0.085 S
0.987 0.630 0.085 S
0.330 0.036 0.085 S
0.830 0.037 0.084 S
0.323 0.680 0.919 S
0.822 0.680 0.917 S
0.018 0.361 0.915 S
0.518 0.360 0.918 S
0.159 0.964 0.919 S
0.660 0.963 0.919 S
0.319 0.961 0.420 S
0.824 0.970 0.420 S
0.159 0.366 0.418 S
0.665 0.366 0.418 S
0.018 0.676 0.415 S
0.105 0.033 0.300 O
0.610 0.029 0.302 O
0.404 0.782 0.306 O
0.915 0.790 0.300 O
0.493 0.196 0.306 O
0.992 0.200 0.306 O
0.108 0.185 0.805 O
0.609 0.190 0.805 O
0.492 0.795 0.803 O
0.991 0.788 0.806 O
0.406 0.015 0.805 O
0.916 0.045 0.802 O
0.388 0.972 0.689 O
0.888 0.967 0.689 O
0.098 0.215 0.702 O
0.605 0.220 0.700 O
0.016 0.808 0.702 O
0.513 0.805 0.698 O
0.390 0.789 0.188 O
0.888 0.786 0.185 O
0.015 0.227 0.202 O
0.512 0.222 0.201 O
0.100 0.985 0.196 O
0.600 0.988 0.198 O
0.445 0.370 0.636 O
0.950 0.367 0.641 O
0.232 0.096 0.645 O
0.734 0.106 0.642 O
0.328 0.536 0.640 O
0.828 0.540 0.643 O
0.450 0.534 0.139 O
0.950 0.535 0.139 O
0.327 0.129 0.136 O
0.828 0.130 0.136 O
0.234 0.366 0.146 O
0.734 0.365 0.145 O
0.234 0.309 0.033 O
0.733 0.309 0.032 O
0.433 0.540 0.034 O
0.933 0.540 0.035 O
0.342 0.133 0.031 O
0.842 0.135 0.030 O
0.234 0.140 0.531 O
0.728 0.131 0.524 O
0.344 0.549 0.534 O
0.839 0.542 0.537 O
0.433 0.325 0.532 O
0.931 0.328 0.537 O
0.277 0.689 0.970 O
0.777 0.689 0.969 O
0.068 0.458 0.965 O
0.565 0.449 0.970 O
0.156 0.866 0.971 O
0.657 0.866 0.971 O
0.276 0.861 0.473 O
0.784 0.875 0.474 O
0.153 0.460 0.468 O
0.664 0.464 0.468 O
0.068 0.682 0.465 O
0.571 0.697 0.473 O
0.056 0.660 0.360 O
0.561 0.662 0.356 O
0.269 0.875 0.368 O
0.769 0.882 0.370 O
0.168 0.461 0.363 O
0.674 0.456 0.362 O
0.055 0.450 0.860 O
0.559 0.457 0.865 O
0.165 0.878 0.865 O
0.666 0.877 0.865 O
0.274 0.660 0.865 O
0.773 0.662 0.864 O
0.013 0.832 0.414 O
0.511 0.851 0.414 O
0.401 0.973 0.416 O
0.908 0.992 0.414 O
0.087 0.194 0.414 O
0.590 0.197 0.416 O
0.012 0.194 0.915 O
0.513 0.193 0.915 O
0.085 0.983 0.916 O
0.586 0.983 0.916 O
0.406 0.832 0.916 O
0.905 0.832 0.914 O
0.485 0.181 0.588 O
0.985 0.181 0.588 O
0.087 0.995 0.584 O
0.585 0.990 0.584 O
0.408 0.803 0.587 O
0.902 0.804 0.587 O
0.490 0.798 0.087 O
0.990 0.799 0.086 O
0.399 0.998 0.086 O
0.900 0.000 0.086 O
0.090 0.162 0.085 O
0.590 0.161 0.085 O
0.338 0.169 0.748 O
0.843 0.177 0.744 O
0.235 0.329 0.749 O
0.738 0.319 0.751 O
0.420 0.539 0.747 O
0.920 0.537 0.748 O
0.344 0.503 0.248 O
0.843 0.504 0.247 O
0.424 0.316 0.249 O
0.922 0.312 0.248 O
0.234 0.147 0.246 O
0.735 0.153 0.246 O
0.332 0.527 0.921 O
0.831 0.526 0.919 O
0.432 0.338 0.920 O
0.932 0.340 0.919 O
0.238 0.132 0.919 O
0.739 0.132 0.918 O
0.329 0.131 0.421 O
0.828 0.138 0.421 O
0.239 0.360 0.421 O
0.740 0.339 0.419 O
0.419 0.514 0.417 O
0.933 0.524 0.419 O
0.180 0.513 0.078 O
0.680 0.514 0.078 O
0.073 0.664 0.078 O
0.573 0.665 0.078 O
0.249 0.871 0.081 O
0.750 0.872 0.081 O
0.179 0.837 0.578 O
0.676 0.835 0.579 O
0.257 0.648 0.582 O
0.752 0.640 0.584 O
0.070 0.486 0.579 O
0.569 0.487 0.580 O
0.148 0.842 0.256 O
0.654 0.846 0.253 O
0.252 0.655 0.251 O
0.754 0.661 0.253 O
0.071 0.475 0.258 O
0.574 0.470 0.256 O
0.150 0.460 0.760 O
0.663 0.469 0.758 O
0.069 0.667 0.759 O
0.572 0.679 0.757 O
0.255 0.834 0.754 O
0.757 0.840 0.756 O
```